Na8Mg3TiP6O24: optimized geometry, PBE.

extended XYZ file:
```
126
Lattice="-8.937 -0.645 0.339 5.099 -6.530 3.430 0.001 10.246 19.505" Properties=species:S:1:pos:R:3 pbc="T T T"
O -0.958 6.930 16.479
Mg 0.421 0.711 12.449
O -0.663 -2.691 3.290
O -5.064 0.565 10.313
Mg 0.000 1.579 3.006
O -7.827 4.282 12.346
P 1.910 2.933 21.305
O -2.067 0.355 17.111
O -3.172 5.768 19.887
O -2.684 1.742 9.694
O -1.170 -2.205 7.504
O -4.681 2.521 18.795
O 0.972 -0.611 6.666
Na -7.045 4.656 16.104
O 1.274 2.595 13.013
P -0.705 -2.400 11.669
P 3.056 -0.088 10.454
O -0.419 1.717 10.924
Na -0.577 -4.352 8.561
O -0.862 0.298 8.851
Na 3.253 1.349 13.758
O -7.742 1.312 6.932
Na -1.409 7.225 18.978
Na 2.259 -5.567 5.150
Na 0.000 0.028 0.052
Na -2.373 -4.103 4.381
P -2.186 4.649 20.404
P 3.591 3.085 17.077
Ti -4.257 7.492 20.593
O 0.831 8.053 18.418
Na -4.258 0.756 7.769
Mg 0.001 8.699 16.560
O 1.604 4.235 21.992
O -0.618 2.881 8.751
P 2.455 -4.157 8.394
O -5.025 2.978 9.045
Mg 0.421 -4.382 2.753
Na 3.236 -1.567 7.097
Mg -4.257 4.384 14.677
O -3.060 2.793 14.497
Na -3.230 7.355 14.686
P -5.738 0.173 2.002
Ti -4.258 2.326 10.760
O -2.640 -2.070 1.721
O -0.118 -5.178 4.597
O -1.272 4.332 19.143
O -3.279 -2.531 8.951
Na -7.179 1.624 9.392
O 1.460 -3.050 7.947
P -1.207 0.723 18.318
O -3.458 -1.352 6.798
P -6.871 3.185 12.871
O -6.003 3.635 14.055
Mg 0.000 3.562 6.780
O -3.384 4.063 11.011
P -1.119 5.582 15.765
O -2.512 -1.272 4.110
O -7.281 0.131 2.005
O -0.070 -2.422 10.280
O -7.132 7.580 16.138
O -4.798 -3.724 2.590
O -0.485 5.560 14.377
O 2.195 -0.454 9.246
Na -2.785 3.845 8.225
O 3.442 2.794 21.180
Na -1.033 -0.764 14.868
P 1.503 0.622 5.884
O 3.816 1.745 16.380
O -3.762 8.191 18.614
P -2.758 1.476 13.768
O 1.993 3.189 17.226
Ti 0.422 3.779 18.289
Na 0.421 -2.801 5.762
O 3.290 -4.483 7.126
O 0.972 6.892 20.596
Na -6.127 8.725 18.190
P -2.696 -2.498 7.523
O -3.709 5.470 13.090
O -4.589 -5.011 4.706
O -1.311 5.079 21.549
O 1.189 2.910 19.890
O -3.433 1.139 5.489
Mg 0.001 6.644 12.647
O -0.388 2.021 17.840
P -5.394 -3.838 4.109
O -0.545 -1.051 12.378
O -5.883 -0.087 6.134
Na 0.421 2.200 15.283
O 1.349 5.508 18.525
O -5.337 -1.243 1.286
O -1.222 1.383 13.650
Na -2.497 3.080 16.931
Na -5.235 4.358 20.484
Na 1.376 -1.284 2.900
O 1.212 0.075 14.337
O -5.924 2.846 11.650
Na -0.957 3.579 12.587
P -1.087 1.639 9.547
O -4.877 3.688 16.627
O -1.612 5.700 11.601
O -5.837 6.527 19.489
Na -4.257 5.899 17.560
O -2.212 -2.750 11.710
O -5.212 -2.486 4.749
Mg -4.258 -0.694 5.010
O -3.464 1.507 12.353
Na -2.809 -0.635 10.578
O 4.094 -1.157 10.872
O -3.008 3.422 20.851
O -2.852 -3.864 6.801
P -3.143 5.483 11.663
O -0.905 -0.377 2.272
Na -1.396 -0.036 6.293
O -5.267 6.186 15.315
O 0.824 0.536 4.490
Na 0.001 5.099 9.707
O -3.333 0.226 14.477
P 1.541 6.931 19.205
O -1.752 2.812 6.144
O 2.043 -3.517 3.724
O -5.050 0.191 3.342
O 2.227 0.236 11.702
O -2.628 5.236 15.814
Mg 0.421 -1.328 8.568
P -1.642 -1.570 2.917
O -0.340 4.431 16.574
```

## Properties
total energy after the MP2020 corrections	-6.964	eV per atom
size of the total moment	0.00	μB/cell
energy	-828.0	eV per cell